Entry 1:
# Ce2Co5Cu5 GGA-PBE optimized geometry
# ΔE_f = -0.079 eV per atom
data_Ce2Co5Cu5
_cell_length_a 4.101
_cell_length_b 4.879
_cell_length_c 8.460
_cell_angle_alpha 90.00
_cell_angle_beta 90.00
_cell_angle_gamma 90.00
_symmetry_space_group_name_H-M 'P m m m'
_symmetry_Int_Tables_number 47
loop_
_symmetry_equiv_pos_as_xyz
'x,y,z'
'-x,-y,-z'
'-x,-y,z'
'x,y,-z'
'x,-y,-z'
'-x,y,z'
'-x,y,-z'
'x,-y,z'
loop_
_atom_site_label
_atom_site_fract_x
_atom_site_fract_y
_atom_site_fract_z
Ce1 0.000 0.000 0.000
Ce2 0.000 0.500 0.500
Co1 0.000 0.000 0.337
Co2 0.000 0.500 0.152
Co3 0.500 0.500 0.000
Cu1 0.500 0.000 0.500
Cu2 0.500 0.250 0.248

Entry 2:
# TaRh3 GGA-PBE optimized geometry
# ΔE_f = -0.594 eV per atom
data_TaRh3
_cell_length_a 3.904
_cell_length_b 3.904
_cell_length_c 3.904
_cell_angle_alpha 90.00
_cell_angle_beta 90.00
_cell_angle_gamma 90.00
_symmetry_space_group_name_H-M 'P m -3 m'
_symmetry_Int_Tables_number 221
_symmetry_space_group_name_Hall '-P 4 2 3'
loop_
_atom_site_label
_atom_site_fract_x
_atom_site_fract_y
_atom_site_fract_z
Ta1 0.000 0.000 0.000
Rh1 0.000 0.500 0.500

no.,ρ (g cm⁻³)
1,8.8
2,13.7